# 1
{
  "formula": "RbIrN2",
  "functional": "PBE-GGA",
  "state": "relaxed",
  "lattice": [[-1.012, 5.488, -1.686], [-4.871, -3.946, -9.919], [-15.400, -0.460, 7.745]],
  "species": ["Rb", "Rb", "Rb", "Rb", "Rb", "Rb", "Rb", "Rb", "Rb", "Rb", "Rb", "Rb", "Rb", "Rb", "Rb", "Rb", "Ir", "Ir", "Ir", "Ir", "Ir", "Ir", "Ir", "Ir", "Ir", "Ir", "Ir", "Ir", "Ir", "Ir", "Ir", "Ir", "N", "N", "N", "N", "N", "N", "N", "N", "N", "N", "N", "N", "N", "N", "N", "N", "N", "N", "N", "N", "N", "N", "N", "N", "N", "N", "N", "N", "N", "N", "N", "N"],
  "fractional_positions": [[0.249, 0.011, 0.437], [0.749, 0.489, 0.563], [0.751, 0.511, 0.063], [0.251, 0.989, 0.937], [0.751, 0.989, 0.563], [0.251, 0.511, 0.437], [0.249, 0.489, 0.937], [0.749, 0.011, 0.063], [0.325, 0.262, 0.314], [0.825, 0.238, 0.686], [0.675, 0.762, 0.186], [0.175, 0.738, 0.814], [0.675, 0.738, 0.686], [0.175, 0.762, 0.314], [0.325, 0.238, 0.814], [0.825, 0.262, 0.186], [0.752, 0.010, 0.311], [0.252, 0.490, 0.689], [0.248, 0.510, 0.189], [0.748, 0.990, 0.811], [0.248, 0.990, 0.689], [0.748, 0.510, 0.311], [0.752, 0.490, 0.811], [0.252, 0.010, 0.189], [0.805, 0.260, 0.436], [0.305, 0.240, 0.564], [0.195, 0.760, 0.064], [0.695, 0.740, 0.936], [0.195, 0.740, 0.564], [0.695, 0.760, 0.436], [0.805, 0.240, 0.936], [0.305, 0.260, 0.064], [0.077, 0.291, 0.493], [0.577, 0.209, 0.507], [0.923, 0.791, 0.007], [0.423, 0.709, 0.993], [0.923, 0.709, 0.507], [0.423, 0.791, 0.493], [0.077, 0.209, 0.993], [0.577, 0.291, 0.007], [0.703, 0.405, 0.394], [0.203, 0.095, 0.606], [0.297, 0.905, 0.106], [0.797, 0.595, 0.894], [0.297, 0.595, 0.606], [0.797, 0.905, 0.394], [0.703, 0.095, 0.894], [0.203, 0.405, 0.106], [0.826, 0.157, 0.350], [0.326, 0.343, 0.650], [0.174, 0.657, 0.150], [0.674, 0.843, 0.850], [0.174, 0.843, 0.650], [0.674, 0.657, 0.350], [0.826, 0.343, 0.850], [0.326, 0.157, 0.150], [0.559, 0.481, 0.222], [0.059, 0.019, 0.778], [0.441, 0.981, 0.278], [0.941, 0.519, 0.722], [0.441, 0.519, 0.778], [0.941, 0.981, 0.222], [0.559, 0.019, 0.722], [0.059, 0.481, 0.278]],
  "sg": "No. 61",
  "formation_enthalpy_0k_ev_per_atom": 0.183,
  "m_tot_mub_per_fu": 0.00,
  "e_tot_ev_per_fu": -25.036
}


# 2
{
  "formula": "BaLa2Ti3O10",
  "functional": "PBE-GGA",
  "state": "relaxed",
  "lattice": [[3.109, 2.202, -1.056], [0.719, -4.133, -6.498], [-6.882, 9.884, -7.049]],
  "species": ["Ba", "Ba", "La", "La", "La", "La", "Ti", "Ti", "Ti", "Ti", "Ti", "Ti", "O", "O", "O", "O", "O", "O", "O", "O", "O", "O", "O", "O", "O", "O", "O", "O", "O", "O", "O", "O"],
  "fractional_positions": [[0.425, 0.750, 0.149], [0.575, 0.250, 0.851], [0.277, 0.750, 0.445], [0.723, 0.250, 0.555], [0.579, 0.750, 0.842], [0.421, 0.250, 0.158], [0.153, 0.503, 0.693], [0.847, 0.497, 0.307], [0.153, 0.997, 0.693], [0.847, 0.003, 0.307], [0.000, 0.500, 0.000], [0.000, 0.000, 0.000], [0.147, 0.750, 0.705], [0.853, 0.250, 0.295], [0.354, 0.500, 0.292], [0.646, 0.500, 0.708], [0.354, 0.000, 0.292], [0.646, 0.000, 0.708], [0.219, 0.458, 0.563], [0.781, 0.542, 0.437], [0.219, 0.042, 0.563], [0.781, 0.958, 0.437], [0.997, 0.750, 0.007], [0.003, 0.250, 0.993], [0.856, 0.750, 0.287], [0.144, 0.250, 0.713], [0.072, 0.529, 0.856], [0.928, 0.471, 0.144], [0.072, 0.971, 0.856], [0.928, 0.029, 0.144], [0.500, 0.500, 0.000], [0.500, 0.000, 0.000]],
  "relative_energy_kcal_per_mol_atoms": 1.43,
  "sg": "No. 63",
  "formation_enthalpy_0k_ev_per_atom": -3.621,
  "m_tot_mub_per_fu": 0.00,
  "e_tot_ev_per_fu": -136.027
}


# 3
{
  "formula": "LiCr2S4",
  "functional": "PBE-GGA",
  "state": "relaxed",
  "lattice": [[-0.183, 4.857, 3.334], [-5.119, -2.728, 3.693], [8.536, -5.175, 8.010]],
  "species": ["Li", "Li", "Li", "Li", "Cr", "Cr", "Cr", "Cr", "Cr", "Cr", "Cr", "Cr", "S", "S", "S", "S", "S", "S", "S", "S", "S", "S", "S", "S", "S", "S", "S", "S"],
  "fractional_positions": [[0.339, 0.000, 0.000], [0.661, 0.500, 0.500], [0.024, 0.000, 0.500], [0.976, 0.500, 0.000], [0.989, 0.000, 0.248], [0.989, 0.000, 0.752], [0.011, 0.500, 0.252], [0.011, 0.500, 0.748], [0.500, 0.250, 0.250], [0.500, 0.750, 0.750], [0.500, 0.750, 0.250], [0.500, 0.250, 0.750], [0.837, 0.252, 0.355], [0.837, 0.748, 0.645], [0.163, 0.752, 0.145], [0.163, 0.248, 0.855], [0.163, 0.248, 0.145], [0.163, 0.752, 0.855], [0.837, 0.748, 0.355], [0.837, 0.252, 0.645], [0.659, 0.000, 0.145], [0.659, 0.000, 0.855], [0.341, 0.500, 0.355], [0.341, 0.500, 0.645], [0.332, 0.000, 0.352], [0.332, 0.000, 0.648], [0.668, 0.500, 0.148], [0.668, 0.500, 0.852]],
  "relative_energy_kcal_per_mol_atoms": 0.37,
  "sg": "No. 59",
  "formation_enthalpy_0k_ev_per_atom": -1.078,
  "e_tot_ev_per_fu": -43.292
}


# 4
{
  "formula": "Pr2Ge7",
  "functional": "PBE-GGA",
  "state": "relaxed",
  "lattice": [[-4.112, 0.000, 0.000], [0.000, 0.000, -4.302], [-2.056, -11.587, 0.000]],
  "species": ["Pr", "Pr", "Ge", "Ge", "Ge", "Ge", "Ge", "Ge", "Ge"],
  "fractional_positions": [[0.669, 0.500, 0.662], [0.334, 0.500, 0.331], [0.047, 0.500, 0.906], [0.936, 0.500, 0.127], [0.796, 0.000, 0.409], [0.228, 0.000, 0.543], [0.543, 0.000, 0.913], [0.433, 0.000, 0.134], [0.116, 0.000, 0.768]],
  "sg": "No. 38",
  "formation_enthalpy_0k_ev_per_atom": -0.280,
  "m_tot_mub_per_fu": 0.00,
  "e_tot_ev_per_fu": -44.446
}


# 5
{
  "formula": "Mg6MnGa",
  "functional": "PBE-GGA",
  "state": "relaxed",
  "lattice": [[-3.103, -1.148, -3.667], [0.487, -5.952, 1.452], [-8.313, 0.962, 6.733]],
  "species": ["Mg", "Mg", "Mg", "Mg", "Mg", "Mg", "Mg", "Mg", "Mg", "Mg", "Mg", "Mg", "Mn", "Mn", "Ga", "Ga"],
  "fractional_positions": [[0.500, 0.249, 0.417], [0.500, 0.751, 0.417], [0.000, 0.753, 0.086], [0.000, 0.247, 0.086], [0.000, 0.000, 0.329], [0.000, 0.500, 0.331], [0.500, 0.749, 0.917], [0.500, 0.251, 0.917], [0.000, 0.253, 0.586], [0.000, 0.747, 0.586], [0.000, 0.500, 0.829], [0.000, 0.000, 0.831], [0.500, 0.000, 0.168], [0.500, 0.500, 0.668], [0.500, 0.500, 0.167], [0.500, 0.000, 0.667]],
  "formation_enthalpy_0k_ev_per_atom": 0.060,
  "m_tot_mub_per_fu": 3.61,
  "e_tot_ev_per_fu": -21.313
}


# 6
{
  "formula": "UBrN",
  "functional": "PBE-GGA",
  "state": "relaxed",
  "lattice": [[3.840, 0.000, 0.000], [0.000, 3.840, 0.000], [0.000, 0.000, 8.705]],
  "species": ["U", "U", "Br", "Br", "N", "N"],
  "fractional_positions": [[0.500, 0.000, 0.134], [0.000, 0.500, 0.866], [0.500, 0.000, 0.663], [0.000, 0.500, 0.337], [0.500, 0.500, 0.000], [0.000, 0.000, 0.000]],
  "sg": "No. 129",
  "formation_enthalpy_0k_ev_per_atom": -1.605,
  "e_tot_ev_per_fu": -25.719
}


# 7
{
  "formula": "SbP4O12",
  "functional": "PBE-GGA",
  "state": "relaxed",
  "lattice": [[6.146, 8.562, 0.000], [-6.146, 8.562, 0.000], [0.000, 0.941, 5.368]],
  "species": ["Sb", "Sb", "P", "P", "P", "P", "P", "P", "P", "P", "O", "O", "O", "O", "O", "O", "O", "O", "O", "O", "O", "O", "O", "O", "O", "O", "O", "O", "O", "O", "O", "O", "O", "O"],
  "fractional_positions": [[0.000, 0.500, 0.000], [0.500, 0.000, 0.000], [0.052, 0.293, 0.546], [0.772, 0.373, 0.819], [0.373, 0.772, 0.819], [0.948, 0.707, 0.454], [0.293, 0.052, 0.546], [0.228, 0.627, 0.181], [0.627, 0.228, 0.181], [0.707, 0.948, 0.454], [0.140, 0.140, 0.620], [0.936, 0.683, 0.737], [0.288, 0.907, 0.650], [0.387, 0.097, 0.680], [0.683, 0.936, 0.737], [0.560, 0.341, 0.329], [0.181, 0.538, 0.031], [0.538, 0.181, 0.031], [0.819, 0.462, 0.969], [0.759, 0.241, 0.000], [0.712, 0.093, 0.350], [0.907, 0.288, 0.650], [0.341, 0.560, 0.329], [0.613, 0.903, 0.320], [0.241, 0.759, 0.000], [0.317, 0.064, 0.263], [0.860, 0.860, 0.380], [0.440, 0.659, 0.671], [0.903, 0.613, 0.320], [0.462, 0.819, 0.969], [0.659, 0.440, 0.671], [0.097, 0.387, 0.680], [0.064, 0.317, 0.263], [0.093, 0.712, 0.350]],
  "relative_energy_kcal_per_mol_atoms": 0.86,
  "sg": "No. 12",
  "formation_enthalpy_0k_ev_per_atom": -2.340,
  "m_tot_mub_per_fu": 1.00,
  "e_tot_ev_per_fu": -116.689
}


# 8
{
  "formula": "Na5AgGe2Se7",
  "functional": "PBE-GGA",
  "state": "relaxed",
  "lattice": [[5.381, 4.982, 0.000], [-5.381, 4.982, 0.000], [0.000, 3.320, 15.108]],
  "species": ["Na", "Na", "Na", "Na", "Na", "Na", "Na", "Na", "Na", "Na", "Ag", "Ag", "Ge", "Ge", "Ge", "Ge", "Se", "Se", "Se", "Se", "Se", "Se", "Se", "Se", "Se", "Se", "Se", "Se", "Se", "Se"],
  "fractional_positions": [[0.000, 0.000, 0.500], [0.000, 0.000, 0.000], [0.478, 0.759, 0.915], [0.522, 0.241, 0.085], [0.241, 0.522, 0.585], [0.759, 0.478, 0.415], [0.514, 0.035, 0.644], [0.486, 0.965, 0.356], [0.965, 0.486, 0.856], [0.035, 0.514, 0.144], [0.913, 0.087, 0.750], [0.087, 0.913, 0.250], [0.415, 0.262, 0.857], [0.585, 0.738, 0.143], [0.738, 0.585, 0.643], [0.262, 0.415, 0.357], [0.249, 0.021, 0.807], [0.751, 0.979, 0.193], [0.979, 0.751, 0.693], [0.021, 0.249, 0.307], [0.453, 0.547, 0.750], [0.547, 0.453, 0.250], [0.696, 0.159, 0.896], [0.304, 0.841, 0.104], [0.841, 0.304, 0.604], [0.159, 0.696, 0.396], [0.629, 0.771, 0.526], [0.371, 0.229, 0.474], [0.229, 0.371, 0.974], [0.771, 0.629, 0.026]],
  "sg": "No. 15",
  "formation_enthalpy_0k_ev_per_atom": -0.959,
  "m_tot_mub_per_fu": 0.00,
  "e_tot_ev_per_fu": -54.236
}


# 9
{
  "formula": "MgCu2WS4",
  "functional": "PBE-GGA",
  "state": "relaxed",
  "lattice": [[5.012, 0.000, -2.384], [-1.134, 4.882, -2.384], [0.290, 0.366, 7.071]],
  "species": ["Mg", "Cu", "Cu", "W", "S", "S", "S", "S"],
  "fractional_positions": [[0.250, 0.750, 0.500], [0.507, 0.007, 0.014], [0.993, 0.493, 0.986], [0.000, 0.000, 0.000], [0.878, 0.864, 0.226], [0.348, 0.363, 0.226], [0.136, 0.652, 0.774], [0.637, 0.122, 0.774]],
  "relative_energy_kcal_per_mol_atoms": 0.86,
  "sg": "No. 82",
  "formation_enthalpy_0k_ev_per_atom": -0.606,
  "m_tot_mub_per_fu": 0.00,
  "e_tot_ev_per_fu": -42.140
}


# 10
{
  "formula": "Sc14Cu14O37",
  "functional": "PBE-GGA",
  "state": "relaxed",
  "lattice": [[1.716, 5.735, 0.000], [-1.716, 5.735, 0.000], [0.000, 7.482, 39.515]],
  "species": ["Sc", "Sc", "Sc", "Sc", "Sc", "Sc", "Sc", "Sc", "Sc", "Sc", "Sc", "Sc", "Sc", "Sc", "Cu", "Cu", "Cu", "Cu", "Cu", "Cu", "Cu", "Cu", "Cu", "Cu", "Cu", "Cu", "Cu", "Cu", "O", "O", "O", "O", "O", "O", "O", "O", "O", "O", "O", "O", "O", "O", "O", "O", "O", "O", "O", "O", "O", "O", "O", "O", "O", "O", "O", "O", "O", "O", "O", "O", "O", "O", "O", "O", "O"],
  "fractional_positions": [[0.257, 0.257, 0.036], [0.753, 0.753, 0.107], [0.230, 0.230, 0.179], [0.752, 0.752, 0.250], [0.272, 0.272, 0.320], [0.727, 0.727, 0.394], [0.255, 0.255, 0.464], [0.754, 0.754, 0.534], [0.233, 0.233, 0.606], [0.744, 0.744, 0.678], [0.242, 0.242, 0.750], [0.742, 0.742, 0.822], [0.242, 0.242, 0.894], [0.737, 0.737, 0.966], [0.006, 0.006, 0.996], [0.505, 0.505, 0.073], [0.995, 0.995, 0.143], [0.502, 0.502, 0.209], [0.003, 0.003, 0.291], [0.500, 0.500, 0.357], [0.000, 0.000, 0.424], [0.505, 0.505, 0.501], [0.998, 0.998, 0.572], [0.503, 0.503, 0.641], [0.005, 0.005, 0.712], [0.505, 0.505, 0.784], [0.004, 0.004, 0.855], [0.503, 0.503, 0.926], [0.840, 0.840, 0.008], [0.344, 0.344, 0.078], [0.829, 0.829, 0.150], [0.666, 0.666, 0.064], [0.335, 0.335, 0.221], [0.162, 0.162, 0.132], [0.021, 0.021, 0.193], [0.839, 0.839, 0.290], [0.666, 0.666, 0.208], [0.477, 0.477, 0.312], [0.329, 0.329, 0.368], [0.170, 0.170, 0.278], [0.833, 0.833, 0.436], [0.671, 0.671, 0.346], [0.524, 0.524, 0.403], [0.345, 0.345, 0.506], [0.164, 0.164, 0.425], [0.833, 0.833, 0.577], [0.665, 0.665, 0.492], [0.334, 0.334, 0.649], [0.164, 0.164, 0.559], [0.025, 0.025, 0.619], [0.836, 0.836, 0.721], [0.672, 0.672, 0.634], [0.520, 0.520, 0.692], [0.336, 0.336, 0.793], [0.172, 0.172, 0.705], [0.021, 0.021, 0.764], [0.835, 0.835, 0.864], [0.672, 0.672, 0.777], [0.520, 0.520, 0.837], [0.332, 0.332, 0.937], [0.172, 0.172, 0.849], [0.018, 0.018, 0.909], [0.671, 0.671, 0.921], [0.523, 0.523, 0.982], [0.170, 0.170, 0.995]],
  "sg": "No. 8",
  "formation_enthalpy_0k_ev_per_atom": -2.469,
  "m_tot_mub_per_fu": 0.11,
  "e_tot_ev_per_fu": -464.180
}


# 11
{
  "formula": "La3GaCoS7",
  "functional": "PBE-GGA",
  "state": "relaxed",
  "lattice": [[5.083, -8.803, 0.000], [5.083, 8.803, 0.000], [0.000, 0.000, 5.978]],
  "species": ["La", "La", "La", "La", "La", "La", "Ga", "Ga", "Co", "Co", "S", "S", "S", "S", "S", "S", "S", "S", "S", "S", "S", "S", "S", "S"],
  "fractional_positions": [[0.140, 0.370, 0.219], [0.230, 0.860, 0.219], [0.630, 0.770, 0.219], [0.860, 0.630, 0.719], [0.770, 0.140, 0.719], [0.370, 0.230, 0.719], [0.667, 0.333, 0.139], [0.333, 0.667, 0.639], [0.000, 0.000, 0.002], [0.000, 0.000, 0.502], [0.863, 0.085, 0.259], [0.222, 0.137, 0.259], [0.915, 0.778, 0.259], [0.137, 0.915, 0.759], [0.778, 0.863, 0.759], [0.085, 0.222, 0.759], [0.421, 0.517, 0.492], [0.095, 0.579, 0.492], [0.483, 0.905, 0.492], [0.579, 0.483, 0.992], [0.905, 0.421, 0.992], [0.517, 0.095, 0.992], [0.667, 0.333, 0.514], [0.333, 0.667, 0.014]],
  "sg": "No. 173",
  "formation_enthalpy_0k_ev_per_atom": -1.849,
  "m_tot_mub_per_fu": 1.01,
  "e_tot_ev_per_fu": -72.562
}


# 12
{
  "formula": "SrMg2Pd",
  "functional": "PBE-GGA",
  "state": "relaxed",
  "lattice": [[-3.520, 2.625, -0.466], [-1.309, -4.853, 3.471], [2.235, 4.183, 6.690]],
  "species": ["Sr", "Sr", "Mg", "Mg", "Mg", "Mg", "Pd", "Pd"],
  "fractional_positions": [[0.054, 0.107, 0.250], [0.946, 0.893, 0.750], [0.335, 0.671, 0.440], [0.665, 0.329, 0.560], [0.335, 0.671, 0.060], [0.665, 0.329, 0.940], [0.772, 0.543, 0.250], [0.228, 0.457, 0.750]],
  "sg": "No. 63",
  "formation_enthalpy_0k_ev_per_atom": -0.462,
  "e_tot_ev_per_fu": -11.919
}


# 13
{
  "formula": "UO",
  "functional": "PBE-GGA",
  "state": "relaxed",
  "lattice": [[0.000, 2.432, 2.432], [2.432, 0.000, 2.432], [2.432, 2.432, 0.000]],
  "species": ["U", "O"],
  "fractional_positions": [[0.000, 0.000, 0.000], [0.500, 0.500, 0.500]],
  "sg": "No. 225",
  "formation_enthalpy_0k_ev_per_atom": -2.609,
  "m_tot_mub_per_fu": 2.00,
  "e_tot_ev_per_fu": -20.769
}


# 14
{
  "formula": "Cu3Sb",
  "functional": "PBE-GGA",
  "state": "relaxed",
  "lattice": [[-1.577, -2.728, 0.000], [-3.153, 0.000, 0.000], [0.000, 0.000, -7.544]],
  "species": ["Cu", "Cu", "Cu", "Sb"],
  "fractional_positions": [[0.334, 0.333, 0.875], [0.667, 0.667, 0.094], [0.667, 0.667, 0.656], [0.333, 0.333, 0.375]],
  "sg": "No. 187",
  "formation_enthalpy_0k_ev_per_atom": 0.291,
  "m_tot_mub_per_fu": 0.00,
  "e_tot_ev_per_fu": -15.070
}